No. 1
## HoB2Ru (PBE)

Data for crystalline HoB2Ru at its relaxed geometry.

Structure (extended XYZ):
```
16
Lattice="5.9011 0.0000 0.0000 0.0000 5.3058 0.0000 0.0000 0.0000 6.3456" Properties=species:S:1:pos:R:3 pbc="T T T"
Ho 0.0632 1.3265 1.0358
Ho 2.8873 3.9794 4.2086
Ho 3.0138 1.3265 2.1370
Ho 5.8379 3.9794 5.3098
B 0.7756 3.0970 2.9312
B 0.7756 4.8618 2.9312
B 2.1750 0.4441 6.1040
B 2.1750 2.2089 6.1040
B 3.7261 3.0970 0.2416
B 3.7261 4.8618 0.2416
B 5.1256 0.4441 3.4144
B 5.1256 2.2089 3.4144
Ru 1.0684 1.3265 4.3238
Ru 1.8822 3.9794 1.1510
Ru 4.0189 1.3265 5.1946
Ru 4.8328 3.9794 2.0218
```

E_tot   -29.70 eV/f.u.
ΔE_f   -0.6221 eV per atom

---

No. 2
## CsCeF5 (PBE)

Data for crystalline CsCeF5 at its relaxed geometry.

Structure (extended XYZ):
```
56
Lattice="8.4737 0.0000 0.0000 0.0000 14.5841 0.0000 -2.3035 0.0000 8.3875" Properties=species:S:1:pos:R:3 pbc="T T T"
Cs 1.2103 0.3742 2.4797
Cs 0.0585 6.9179 6.6734
Cs 0.4333 0.3975 6.5989
Cs 1.5850 6.8946 2.4051
Cs 4.5852 7.6895 5.9824
Cs 5.7369 14.1866 1.7886
Cs 6.1117 7.6662 1.7141
Cs 4.9599 14.2099 5.9078
Ce -0.7614 10.8798 4.4998
Ce 0.3904 10.9963 0.3061
Ce 3.1836 10.8502 3.2277
Ce 2.0319 11.0259 7.4214
Ce 4.1383 3.5582 0.9661
Ce 2.9866 3.7338 5.1598
Ce 5.7798 3.5878 8.0814
Ce 6.9316 3.7043 3.8877
F -2.2054 8.9057 8.2088
F -1.0536 12.9705 4.0150
F -2.0600 1.5317 7.9446
F -0.9082 5.7603 3.7508
F -0.3690 3.1278 1.9886
F -1.5208 4.1642 6.1823
F 0.6931 3.6174 4.5259
F 1.8449 3.6746 0.3322
F 0.1913 9.9151 6.6364
F 1.3430 11.9610 2.4426
F 1.2290 9.7582 3.9780
F 0.0772 12.1180 8.1717
F 2.1592 9.8237 1.2904
F 1.0074 12.0524 5.4842
F 1.7501 3.3234 7.0511
F 2.9019 3.9687 2.8573
F 3.5030 1.4791 0.9324
F 2.3512 5.8129 5.1261
F 2.6304 1.6227 4.8132
F 3.7822 5.6693 0.6195
F 2.3880 8.9148 7.7680
F 3.5398 12.9614 3.5743
F 3.8190 8.7712 3.2614
F 2.6672 13.1050 7.4551
F 3.2683 10.6154 5.5301
F 4.4201 11.2607 1.3364
F 5.1628 2.5317 2.9033
F 4.0111 4.7604 7.0971
F 6.0930 2.4661 0.2158
F 4.9412 4.8259 4.4095
F 4.8272 2.6231 5.9449
F 5.9790 4.6690 1.7511
F 4.3253 10.9095 8.0553
F 5.4771 10.9667 3.8616
F 7.6910 10.4199 2.2051
F 6.5392 11.4563 6.3989
F 7.0784 8.8238 4.6367
F 8.2302 13.0524 0.4429
F 7.2238 1.6136 4.3725
F 8.3756 5.6784 0.1787
```

E_tot   -40.91 eV/f.u.
ΔE_f   -3.8316 eV per atom

---

No. 3
## Ba6MgSc2C2O6F14 (PBE)

Data for crystalline Ba6MgSc2C2O6F14 at its relaxed geometry.

Structure (extended XYZ):
```
31
Lattice="8.9968 0.0000 0.0000 0.0000 5.9622 0.0000 -0.5277 0.0000 10.8890" Properties=species:S:1:pos:R:3 pbc="T T T"
Ba 0.0000 0.0000 0.0000
Ba 0.1672 2.9811 3.2360
Ba 1.4281 2.9811 8.3922
Ba 3.8394 0.0000 10.3594
Ba 5.0357 2.9811 4.3098
Ba 7.4205 0.0000 6.3933
Mg 2.8877 0.0000 2.6029
Sc 2.1792 0.0000 5.6337
Sc 6.6471 2.9811 9.5753
C 4.2311 0.0000 7.1295
C 4.7582 2.9811 7.6614
O 2.9748 0.0000 7.5663
O 3.8328 2.9811 6.7703
O 4.3675 0.0000 5.8225
O 4.4752 2.9811 8.9421
O 5.2044 0.0000 7.9261
O 6.0262 2.9811 7.3461
F 0.8517 0.0000 2.4946
F 0.7771 1.3554 6.1452
F 0.7771 4.6069 6.1452
F 1.6422 1.3844 10.3146
F 1.6422 4.5779 10.3146
F 2.5322 1.3930 4.1441
F 2.5322 4.5693 4.1441
F 6.0510 1.4326 10.6837
F 6.0510 4.5296 10.6837
F 7.2442 1.5946 4.2936
F 7.2442 4.3676 4.2936
F 8.0296 1.6011 8.7556
F 8.0296 4.3611 8.7556
F 8.6150 2.9811 0.5425
```

E_tot   -198.08 eV/f.u.
ΔE_f   -3.4819 eV per atom
Energy above the lowest structure with this stoichiometry   102 meV per atom

---

No. 4
## TiCrAgS4 (PBE)

Data for crystalline TiCrAgS4 at its relaxed geometry.

Structure (extended XYZ):
```
28
Lattice="7.3080 0.0000 0.0000 0.0000 7.1902 0.0000 0.0000 0.0000 10.6454" Properties=species:S:1:pos:R:3 pbc="T T T"
Ti 0.0295 1.7975 2.6209
Ti 3.6244 5.3926 7.9436
Ti 3.6835 1.7975 2.7018
Ti 7.2784 5.3926 8.0245
Cr 1.8228 1.7975 6.4933
Cr 1.8312 5.3926 1.1706
Cr 5.4768 1.7975 9.4748
Cr 5.4852 5.3926 4.1521
Ag 1.7609 5.3926 4.1223
Ag 1.8931 1.7975 9.4450
Ag 5.4149 5.3926 1.2004
Ag 5.5470 1.7975 6.5231
S 0.1617 5.3926 10.4150
S 0.2181 1.7975 5.0356
S 1.8081 3.7127 7.7549
S 1.8081 7.0725 7.7549
S 1.8458 0.1176 2.4322
S 1.8458 3.4775 2.4322
S 3.4359 5.3926 10.3583
S 3.4922 1.7975 5.0923
S 3.8157 5.3926 5.5532
S 3.8721 1.7975 0.2871
S 5.4621 3.7127 8.2132
S 5.4621 7.0725 8.2132
S 5.4998 0.1176 2.8905
S 5.4998 3.4775 2.8905
S 7.0899 5.3926 5.6098
S 7.1462 1.7975 0.2305
```

E_tot   -41.28 eV/f.u.
ΔE_f   -0.9099 eV per atom
Energy above the lowest structure with this stoichiometry   197 meV per atom

---

No. 5
## LuSbO4 (PBE)

Data for crystalline LuSbO4 at its relaxed geometry.

Structure (extended XYZ):
```
24
Lattice="7.6025 0.0000 0.0000 0.0000 5.3333 0.0000 -1.2310 0.0000 7.4204" Properties=species:S:1:pos:R:3 pbc="T T T"
Lu 0.7078 1.2454 2.7677
Lu 0.0923 1.4213 6.4779
Lu 6.2792 3.9120 0.9425
Lu 5.6637 4.0879 4.6527
Sb 2.3062 3.9450 1.4169
Sb 1.6907 4.0549 5.1271
Sb 4.6809 1.2784 2.2933
Sb 4.0654 1.3883 6.0035
O 0.5721 2.9292 1.3828
O -0.0434 5.0707 5.0930
O 1.3074 0.1961 0.8341
O 0.6919 2.4706 4.5443
O 1.3041 3.2592 6.9630
O 1.9196 4.7408 3.2528
O 2.2772 0.4828 5.9724
O 2.8927 2.1839 2.2621
O 3.4788 3.1495 5.1583
O 4.0943 4.8505 1.4481
O 4.4519 0.5925 4.1676
O 5.0674 2.0741 0.4574
O 5.6796 2.8627 2.8761
O 5.0641 5.1372 6.5863
O 6.4149 0.2626 2.3274
O 5.7994 2.4041 6.0377
```

E_tot   -43.04 eV/f.u.
ΔE_f   -2.8914 eV per atom

---

No. 6
## SrCa3Hf4O12 (PBE)

Data for crystalline SrCa3Hf4O12 at its relaxed geometry.

Structure (extended XYZ):
```
20
Lattice="5.6468 0.0000 0.0000 0.0000 8.0852 0.0000 -0.0026 0.0000 5.7917" Properties=species:S:1:pos:R:3 pbc="T T T"
Sr 0.0000 0.0000 0.0000
Ca 0.1299 4.0426 0.5012
Ca 2.8268 4.0426 3.3882
Ca 2.9561 0.0000 2.8724
Hf 0.0590 2.0374 3.1343
Hf 0.0590 6.0478 3.1343
Hf 2.8893 2.0409 0.2394
Hf 2.8893 6.0443 0.2394
O 0.6233 0.0000 3.2546
O 1.2068 2.4560 4.8490
O 1.2068 5.6291 4.8490
O 1.7208 2.4571 1.9372
O 1.7208 5.6280 1.9372
O 2.4397 0.0000 0.4344
O 3.4596 4.0426 0.0422
O 4.0232 1.6147 4.3135
O 4.0232 6.4705 4.3135
O 4.5233 1.6609 1.4671
O 4.5233 6.4243 1.4671
O 5.1553 4.0426 2.9556
```

E_tot   -174.90 eV/f.u.
ΔE_f   -3.8115 eV per atom

---

No. 7
## Ta4Cu3Ni9 (PBE)

Data for crystalline Ta4Cu3Ni9 at its relaxed geometry.

Structure (extended XYZ):
```
16
Lattice="4.3183 0.0000 0.0000 0.0000 10.3635 0.0000 0.0000 0.0000 4.4825" Properties=species:S:1:pos:R:3 pbc="T T T"
Ta 0.0000 0.0000 0.0000
Ta 0.0000 5.1817 0.0623
Ta 2.1592 2.5384 3.0832
Ta 2.1592 7.8251 3.0832
Cu 0.0000 2.5917 0.1664
Cu 0.0000 7.7718 0.1664
Cu 2.1592 5.1817 2.9732
Ni 0.0000 1.2917 2.3024
Ni 0.0000 3.8702 2.3314
Ni 0.0000 6.4933 2.3314
Ni 0.0000 9.0718 2.3024
Ni 2.1592 0.0000 3.0222
Ni 2.1592 1.2701 0.8293
Ni 2.1592 3.8855 0.8149
Ni 2.1592 6.4780 0.8149
Ni 2.1592 9.0934 0.8293
```

E_tot   -115.80 eV/f.u.
ΔE_f   -0.2528 eV per atom

---

No. 8
## Hf8MgN8O4 (PBE)

Data for crystalline Hf8MgN8O4 at its relaxed geometry.

Structure (extended XYZ):
```
21
Lattice="5.4040 0.0000 0.0000 2.6825 4.7691 0.0000 2.6581 -1.3271 10.2435" Properties=species:S:1:pos:R:3 pbc="T T T"
Hf 0.0000 0.0000 0.0000
Hf 2.7846 1.6628 5.4101
Hf 2.7008 1.7902 2.2163
Hf 5.3852 3.3815 7.3265
Hf 5.3435 3.3541 2.9876
Hf 5.4429 0.3663 8.1362
Hf 5.3934 0.0721 5.2154
Hf 8.0910 1.7064 10.0074
Mg 5.2729 0.1607 2.6062
N 3.3461 3.2332 3.7817
N 3.4938 0.1486 8.9487
N 4.5369 1.5881 6.4952
N 3.5142 0.2946 3.8642
N 6.2348 2.0376 8.9895
N 4.5599 1.7631 1.3155
N 6.9677 3.4066 1.3793
N 7.0415 0.2120 6.4870
O 1.6811 0.0187 1.4912
O 7.2319 3.3632 6.4012
O 6.2575 1.6321 3.8148
O 9.0803 3.3773 8.9378
```

E_tot   -209.12 eV/f.u.
ΔE_f   -2.1012 eV per atom
Energy above the lowest structure with this stoichiometry   5 meV per atom

---

No. 9
## CaNiH3 (PBE)

Data for crystalline CaNiH3 at its relaxed geometry.

Structure (extended XYZ):
```
5
Lattice="3.5377 0.0000 0.0000 0.0000 3.5377 0.0000 0.0000 0.0000 3.5377" Properties=species:S:1:pos:R:3 pbc="T T T"
Ca 0.0000 0.0000 0.0000
Ni 1.7688 1.7688 1.7688
H 0.0000 1.7688 1.7688
H 1.7688 0.0000 1.7688
H 1.7688 1.7688 0.0000
```

E_tot   -20.24 eV/f.u.
ΔE_f   -0.5626 eV per atom

---

No. 10
## MgSc2Al (PBE)

Data for crystalline MgSc2Al at its relaxed geometry.

Structure (extended XYZ):
```
4
Lattice="0.0000 3.4613 3.4613 3.4613 0.0000 3.4613 3.4613 3.4613 0.0000" Properties=species:S:1:pos:R:3 pbc="T T T"
Mg 0.0000 0.0000 0.0000
Sc 1.7306 1.7306 1.7306
Sc 5.1919 5.1919 5.1919
Al 3.4613 3.4613 3.4613
```

E_tot   -19.15 eV/f.u.
ΔE_f   -0.2844 eV per atom

---

No. 11
## Li2UO4 (PBE)

Data for crystalline Li2UO4 at its relaxed geometry.

Structure (extended XYZ):
```
28
Lattice="10.6738 0.0000 0.0000 0.0000 6.1050 0.0000 0.0000 0.0000 5.1822" Properties=species:S:1:pos:R:3 pbc="T T T"
Li 0.0000 0.0000 0.0000
Li 0.0000 3.0525 0.0000
Li 0.8136 1.5262 2.3828
Li 4.5233 4.5787 4.9738
Li 5.3369 0.0000 2.5911
Li 5.3369 3.0525 2.5911
Li 6.1505 1.5262 0.2083
Li 9.8602 4.5787 2.7994
U 2.5444 4.5787 2.6548
U 2.7924 1.5262 0.0638
U 7.8813 4.5787 5.1184
U 8.1293 1.5262 2.5273
O 0.9174 4.5787 3.7023
O 1.0918 1.5262 4.2816
O 1.7853 0.0833 1.3790
O 1.7853 2.9692 1.3790
O 3.5516 3.1358 3.9700
O 3.5516 6.0216 3.9700
O 4.2451 4.5787 1.6905
O 4.4195 1.5262 1.1112
O 6.2543 4.5787 4.0710
O 6.4287 1.5262 3.4916
O 7.1222 0.0833 1.2121
O 7.1222 2.9692 1.2121
O 8.8884 3.1358 3.8032
O 8.8884 6.0216 3.8032
O 9.5820 4.5787 0.9005
O 9.7564 1.5262 1.4799
```

E_tot   -54.16 eV/f.u.
ΔE_f   -3.1432 eV per atom
Energy above the lowest structure with this stoichiometry   0 meV per atom

---

No. 12
## SiO2 (PBE)

Data for crystalline SiO2 at its relaxed geometry.

Structure (extended XYZ):
```
36
Lattice="10.0911 0.0000 0.0000 -5.0455 8.7391 0.0000 0.0000 0.0000 10.2963" Properties=species:S:1:pos:R:3 pbc="T T T"
Si -1.4838 4.9694 1.0661
Si -1.4838 4.9694 4.0820
Si 1.4838 4.9694 1.0661
Si 1.4838 4.9694 4.0820
Si 0.0000 7.5395 1.0661
Si 0.0000 7.5395 4.0820
Si 5.0455 1.1997 6.2143
Si 5.0455 1.1997 9.2302
Si 3.5617 3.7697 6.2143
Si 3.5617 3.7697 9.2302
Si 6.5294 3.7697 6.2143
Si 6.5294 3.7697 9.2302
O -2.5228 4.3696 0.0000
O -2.5228 4.3696 5.1481
O -2.0319 4.6530 2.5741
O 0.0000 4.2956 0.8597
O 0.0000 4.2956 4.2884
O -1.3254 6.5913 0.8597
O -1.3254 6.5913 4.2884
O 2.0319 4.6530 2.5741
O 0.0000 8.1723 2.5741
O 3.7201 2.1478 6.0079
O 3.7201 2.1478 9.4365
O 5.0455 0.0000 0.0000
O 5.0455 0.0000 5.1481
O 2.5228 4.3696 0.0000
O 2.5228 4.3696 5.1481
O 1.3255 6.5913 0.8597
O 1.3255 6.5913 4.2884
O 5.0455 0.5669 7.7222
O 3.0137 4.0861 7.7222
O 6.3710 2.1478 6.0079
O 6.3710 2.1478 9.4365
O 5.0455 4.4435 6.0079
O 5.0455 4.4435 9.4365
O 7.0774 4.0861 7.7222
```

E_tot   -23.62 eV/f.u.
ΔE_f   -3.2251 eV per atom

---

No. 13
## Zr3Bi5 (PBE)

Data for crystalline Zr3Bi5 at its relaxed geometry.

Structure (extended XYZ):
```
32
Lattice="7.0678 0.0000 0.0000 0.0000 7.0678 0.0000 0.0000 0.0000 17.2853" Properties=species:S:1:pos:R:3 pbc="T T T"
Zr 0.0000 0.0000 0.0000
Zr 0.0000 0.0000 5.6155
Zr 0.0000 0.0000 11.6698
Zr 0.0000 3.5339 4.3213
Zr 0.0000 3.5339 10.1581
Zr 0.0000 3.5339 15.7698
Zr 3.5339 0.0000 1.5155
Zr 3.5339 0.0000 7.1272
Zr 3.5339 0.0000 12.9640
Zr 3.5339 3.5339 3.0272
Zr 3.5339 3.5339 8.6426
Zr 3.5339 3.5339 14.2581
Bi 1.0950 1.9038 7.7453
Bi 1.1208 5.6949 2.6212
Bi 1.2057 4.7396 12.9640
Bi 1.3729 1.1208 14.6641
Bi 1.6301 2.4389 0.8974
Bi 1.9038 5.9728 9.5400
Bi 2.1610 4.6548 6.0215
Bi 2.3282 1.2057 4.3213
Bi 2.4131 2.1610 11.2638
Bi 2.4389 5.4377 16.3879
Bi 4.6289 1.6301 16.3879
Bi 4.6548 4.9068 11.2638
Bi 4.7396 5.8622 4.3213
Bi 4.9068 2.4131 6.0215
Bi 5.1640 1.0950 9.5400
Bi 5.4377 4.6289 0.8974
Bi 5.6949 5.9470 14.6641
Bi 5.8622 2.3282 12.9640
Bi 5.9470 1.3729 2.6212
Bi 5.9728 5.1640 7.7453
```

E_tot   -47.47 eV/f.u.
ΔE_f   -0.2966 eV per atom

---

No. 14
## SmSnRh2 (PBE)

Data for crystalline SmSnRh2 at its relaxed geometry.

Structure (extended XYZ):
```
4
Lattice="0.0000 3.3704 3.3704 3.3704 0.0000 3.3704 3.3704 3.3704 0.0000" Properties=species:S:1:pos:R:3 pbc="T T T"
Sm 0.0000 0.0000 0.0000
Sn 3.3704 3.3704 3.3704
Rh 1.6852 1.6852 1.6852
Rh 5.0557 5.0557 5.0557
```

E_tot   -26.26 eV/f.u.
ΔE_f   -0.7010 eV per atom